## A
Computed, not measured: crystalline Li9Mn2Co5O16 at its relaxed geometry at the PBE+U level of DFT. Values from VASP.

```
&SYSTEM
  ibrav = 0, nat = 32, ntyp = 4
/
ATOMIC_SPECIES
Li 6.94 Li.upf
Mn 54.94 Mn.upf
Co 58.93 Co.upf
O 16.00 O.upf
CELL_PARAMETERS angstrom
5.888 0.000 0.000
2.912 5.129 0.000
0.059 3.232 9.534
ATOMIC_POSITIONS angstrom
Li 0.000 0.000 0.000
Li 5.921 1.600 4.694
Li 1.438 0.825 2.251
Li 4.430 7.495 7.164
Li 2.963 3.236 9.512
Li 2.963 1.624 4.703
Li 4.404 0.831 2.300
Li 7.365 7.478 7.197
Li 7.375 5.759 9.470
Mn 2.952 4.958 7.146
Mn 4.423 4.195 4.727
Co 2.924 3.322 2.250
Co 4.479 5.796 9.505
Co 5.912 3.385 2.247
Co 5.937 4.949 7.160
Co 7.352 4.135 4.677
O 1.470 2.590 3.585
O 1.631 4.099 8.186
O 3.021 6.499 8.254
O 3.016 4.914 3.590
O 4.305 5.731 5.900
O 2.955 1.793 1.234
O 3.030 3.417 5.866
O 4.395 4.199 1.138
O 4.421 4.192 8.182
O 4.485 2.652 3.570
O 5.824 4.999 3.668
O 5.865 6.471 8.204
O 5.824 3.470 5.891
O 5.761 1.749 1.126
O 7.277 4.215 1.274
O 7.406 5.678 6.013
```

---

## B
Computed, not measured: crystalline Li9Mn2Co5O16 at its relaxed geometry at the PBE+U level of DFT. Values from VASP.

```
&SYSTEM
  ibrav = 0, nat = 32, ntyp = 4
/
ATOMIC_SPECIES
Li 6.94 Li.upf
Mn 54.94 Mn.upf
Co 58.93 Co.upf
O 16.00 O.upf
CELL_PARAMETERS angstrom
5.134 0.000 0.000
-1.667 5.668 0.000
-1.734 -0.535 9.898
ATOMIC_POSITIONS angstrom
Li 0.000 0.000 0.000
Li 0.847 4.929 1.204
Li 0.005 4.600 6.211
Li 1.723 2.029 1.218
Li 0.848 1.788 6.214
Li 0.885 3.344 3.684
Li 0.010 3.104 8.680
Li 1.728 0.533 3.686
Li 0.886 0.203 8.694
Mn -0.833 2.834 0.000
Mn -1.700 2.566 4.949
Co -0.867 -0.268 4.949
Co -1.697 0.974 7.487
Co -0.806 1.264 2.421
Co 2.539 3.868 7.477
Co 3.430 4.158 2.411
O -1.019 1.323 9.209
O -0.979 2.802 6.713
O -0.935 4.248 4.306
O -0.144 1.578 4.358
O -1.772 3.960 9.268
O -0.086 -0.050 6.731
O -0.050 3.075 1.756
O 0.750 0.272 1.956
O 0.983 4.860 7.942
O 1.783 2.057 8.142
O 1.819 5.182 3.167
O 3.505 1.173 0.630
O 1.877 3.554 5.540
O 2.668 0.884 5.592
O 2.712 2.331 3.185
O 2.752 3.809 0.689
```

---

Least stable = A